# 1
VASP calculation (PBE) on a relaxed structure of Mg2S2O13.

```
data_Mg2S2O13
_chemical_formula_sum 'Mg16 S16 O104'
_cell_length_a 18.653
_cell_length_b 11.199
_cell_length_c 10.597
_cell_angle_alpha 90.00
_cell_angle_beta 93.73
_cell_angle_gamma 90.00
_symmetry_space_group_name_H-M 'C 1 2/c 1'
_symmetry_Int_Tables_number 15
loop_
_symmetry_equiv_pos_as_xyz
'x,y,z'
'-x,-y,-z'
'-x,y,-z+1/2'
'x,-y,z+1/2'
'x+1/2,y+1/2,z'
'-x+1/2,-y+1/2,-z'
'-x+1/2,y+1/2,-z+1/2'
'x+1/2,-y+1/2,z+1/2'
loop_
_atom_site_label
_atom_site_fract_x
_atom_site_fract_y
_atom_site_fract_z
_atom_site_occupancy
Mg1 0.087 0.132 0.112 1
Mg2 0.149 0.380 0.450 1
S1 0.086 0.115 0.429 1
S2 0.175 0.390 0.143 1
O1 0.013 0.474 0.456 1
O2 0.014 0.161 0.457 1
O3 0.078 0.232 0.816 1
O4 0.086 0.085 0.293 1
O5 0.107 0.010 0.508 1
O6 0.111 0.261 0.724 1
O7 0.127 0.294 0.091 1
O8 0.141 0.210 0.463 1
O9 0.152 0.496 0.578 1
O10 0.159 0.408 0.278 1
O11 0.224 0.387 0.861 1
O12 0.227 0.114 0.210 1
O13 0.249 0.133 0.869 1
```

Properties
The calculation puts the mass density at 1.93 g/cm³. The calculation puts the formation energy at -23.68 eV/f.u. The value obtained for the total energy is -97.4 eV/f.u.

# 2
VASP calculation (PBE) on a relaxed structure of MgSO9.

```
data_MgSO9
_chemical_formula_sum 'Mg1 S1 O9'
_cell_length_a 4.830
_cell_length_b 6.148
_cell_length_c 6.672
_cell_angle_alpha 114.58
_cell_angle_beta 106.46
_cell_angle_gamma 94.26
_symmetry_space_group_name_H-M 'P 1'
_symmetry_Int_Tables_number 1
loop_
_symmetry_equiv_pos_as_xyz
'x,y,z'
loop_
_atom_site_label
_atom_site_fract_x
_atom_site_fract_y
_atom_site_fract_z
_atom_site_occupancy
Mg1 0.000 0.000 0.000 1
S1 0.627 0.431 0.681 1
O1 0.262 0.123 0.324 1
O2 0.315 0.950 0.674 1
O3 0.426 0.975 0.881 1
O4 0.524 0.314 0.396 1
O5 0.554 0.727 0.233 1
O6 0.789 0.824 0.235 1
O7 0.816 0.217 0.702 1
O8 0.863 0.649 0.755 1
O9 0.916 0.286 0.950 1
```

Properties
The calculation puts the mass density at 1.97 g/cm³. The calculation puts the formation energy at -6.68 eV/f.u. For the energy above the lowest structure with this stoichiometry, the calculation gives 142 meV per atom. The value obtained for the total energy is -55.5 eV/f.u.

# 3
VASP calculation (PBE) on a relaxed structure of MgSO6.

```
data_MgSO6
_chemical_formula_sum 'Mg8 S8 O48'
_cell_length_a 9.526
_cell_length_b 9.943
_cell_length_c 11.194
_cell_angle_alpha 90.00
_cell_angle_beta 90.00
_cell_angle_gamma 90.00
_symmetry_space_group_name_H-M 'P 21 21 21'
_symmetry_Int_Tables_number 19
loop_
_symmetry_equiv_pos_as_xyz
'x,y,z'
'-x+1/2,-y,z+1/2'
'x+1/2,-y+1/2,-z'
'-x,y+1/2,-z+1/2'
loop_
_atom_site_label
_atom_site_fract_x
_atom_site_fract_y
_atom_site_fract_z
_atom_site_occupancy
Mg1 0.143 0.068 0.259 1
Mg2 0.185 0.412 0.516 1
S1 0.167 0.403 0.225 1
S2 0.170 0.886 0.013 1
O1 0.010 0.922 0.666 1
O2 0.012 0.428 0.942 1
O3 0.021 0.903 0.980 1
O4 0.032 0.474 0.208 1
O5 0.146 0.257 0.207 1
O6 0.196 0.745 0.050 1
O7 0.206 0.976 0.114 1
O8 0.216 0.743 0.422 1
O9 0.224 0.430 0.345 1
O10 0.231 0.548 0.635 1
O11 0.241 0.078 0.411 1
O12 0.243 0.779 0.320 1
```

Properties
The calculation puts the mass density at 1.91 g/cm³. The calculation puts the formation energy at -12.43 eV/f.u. The value obtained for the total energy is -46.9 eV/f.u.

# 4
VASP calculation (PBE) on a relaxed structure of MgSO9.

```
data_MgSO9
_chemical_formula_sum 'Mg3 S3 O27'
_cell_length_a 7.8707
_cell_length_b 7.8707
_cell_length_c 8.5437
_cell_angle_alpha 90.00
_cell_angle_beta 90.00
_cell_angle_gamma 120.00
_symmetry_space_group_name_H-M 'R 3'
_symmetry_Int_Tables_number 146
_symmetry_space_group_name_Hall 'R 3'
loop_
_atom_site_label
_atom_site_fract_x
_atom_site_fract_y
_atom_site_fract_z
_atom_site_occupancy
Mg1 0.0000 0.0000 0.0000 1
S1 0.0000 0.0000 0.5164 1
O1 0.0973 0.5551 0.4935 1
O2 0.1922 0.4636 0.1802 1
O3 0.1939 0.7687 0.8340 1
```

Properties
The calculation puts the mass density at 2.18 g/cm³. The calculation puts the formation energy at -8.25 eV/f.u. For the energy above the lowest structure with this stoichiometry, the calculation gives 0 meV per atom. The value obtained for the total energy is -57.1 eV/f.u.

# 5
VASP calculation (PBE) on a relaxed structure of MgSiSn3S5O24.

```
data_MgSiSn3S5O24
_chemical_formula_sum 'Mg3 Si3 Sn9 S15 O72'
_cell_length_a 8.763
_cell_length_b 8.764
_cell_length_c 22.769
_cell_angle_alpha 89.49
_cell_angle_beta 89.64
_cell_angle_gamma 60.29
_symmetry_space_group_name_H-M 'P 1'
_symmetry_Int_Tables_number 1
loop_
_symmetry_equiv_pos_as_xyz
'x,y,z'
loop_
_atom_site_label
_atom_site_fract_x
_atom_site_fract_y
_atom_site_fract_z
_atom_site_occupancy
Mg1 0.000 0.000 0.000 1
Mg2 0.009 0.999 0.498 1
Mg3 0.332 0.334 0.833 1
Si1 0.286 0.003 0.601 1
Si2 0.666 0.379 0.271 1
Si3 0.955 0.666 0.271 1
Sn1 0.004 0.003 0.702 1
Sn2 0.331 0.343 0.330 1
Sn3 0.332 0.336 0.040 1
Sn4 0.333 0.327 0.540 1
Sn5 0.660 0.672 0.663 1
Sn6 0.666 0.669 0.875 1
Sn7 0.671 0.660 0.171 1
Sn8 0.674 0.662 0.372 1
Sn9 0.991 0.003 0.211 1
S1 0.001 0.711 0.602 1
S2 0.042 0.333 0.437 1
S3 0.043 0.627 0.936 1
S4 0.291 0.714 0.102 1
S5 0.330 0.045 0.936 1
S6 0.332 0.628 0.438 1
S7 0.373 0.665 0.771 1
S8 0.376 0.959 0.270 1
S9 0.625 0.331 0.936 1
S10 0.627 0.040 0.436 1
S11 0.668 0.962 0.770 1
S12 0.707 0.999 0.101 1
S13 0.709 0.290 0.602 1
S14 0.956 0.378 0.770 1
S15 0.999 0.289 0.101 1
O1 0.021 0.181 0.445 1
O2 0.023 0.799 0.946 1
O3 0.030 0.782 0.659 1
O4 0.035 0.181 0.156 1
O5 0.115 0.512 0.990 1
O6 0.119 0.373 0.490 1
O7 0.126 0.361 0.779 1
O8 0.140 0.488 0.279 1
O9 0.152 0.541 0.884 1
O10 0.156 0.301 0.385 1
O11 0.161 0.310 0.095 1
O12 0.161 0.536 0.596 1
O13 0.176 0.795 0.446 1
O14 0.177 0.044 0.665 1
O15 0.179 0.024 0.946 1
O16 0.183 0.787 0.156 1
O17 0.197 0.968 0.547 1
O18 0.198 0.825 0.764 1
O19 0.203 0.974 0.262 1
O20 0.208 0.819 0.050 1
O21 0.303 0.544 0.386 1
O22 0.308 0.154 0.884 1
O23 0.312 0.531 0.096 1
O24 0.314 0.175 0.598 1
O25 0.358 0.511 0.781 1
O26 0.359 0.131 0.279 1
O27 0.371 0.510 0.492 1
O28 0.372 0.117 0.990 1
O29 0.448 0.848 0.324 1
O30 0.452 0.706 0.824 1
O31 0.467 0.696 0.109 1
O32 0.481 0.829 0.611 1
O33 0.484 0.887 0.216 1
O34 0.488 0.632 0.719 1
O35 0.492 0.644 0.431 1
O36 0.494 0.865 0.930 1
O37 0.501 0.347 0.278 1
O38 0.511 0.373 0.990 1
O39 0.512 0.119 0.490 1
O40 0.515 0.131 0.780 1
O41 0.527 0.161 0.095 1
O42 0.528 0.319 0.596 1
O43 0.539 0.309 0.885 1
O44 0.542 0.153 0.384 1
O45 0.614 0.499 0.210 1
O46 0.634 0.867 0.431 1
O47 0.638 0.879 0.718 1
O48 0.641 0.496 0.930 1
O49 0.681 0.845 0.109 1
O50 0.700 0.459 0.330 1
O51 0.700 0.462 0.612 1
O52 0.708 0.845 0.824 1
O53 0.775 0.184 0.659 1
O54 0.779 0.035 0.155 1
O55 0.797 0.023 0.446 1
O56 0.797 0.180 0.946 1
O57 0.815 0.974 0.050 1
O58 0.817 0.209 0.552 1
O59 0.831 0.975 0.762 1
O60 0.832 0.719 0.329 1
O61 0.839 0.457 0.823 1
O62 0.843 0.466 0.107 1
O63 0.845 0.195 0.262 1
O64 0.846 0.685 0.612 1
O65 0.863 0.642 0.930 1
O66 0.868 0.496 0.432 1
O67 0.874 0.492 0.717 1
O68 0.878 0.634 0.210 1
O69 0.963 0.205 0.764 1
O70 0.965 0.824 0.552 1
O71 0.976 0.206 0.050 1
O72 0.986 0.832 0.262 1
```

Properties
The calculation puts the mass density at 3.13 g/cm³. The calculation puts the formation energy at -69.48 eV/f.u. The value obtained for the total energy is -211.5 eV/f.u.

# 6
VASP calculation (PBE) on a relaxed structure of Mg2Ta10Si9S9O72.

```
data_Mg2Ta10Si9S9O72
_chemical_formula_sum 'Mg2 Ta10 Si9 S9 O72'
_cell_length_a 8.832
_cell_length_b 8.861
_cell_length_c 22.795
_cell_angle_alpha 89.72
_cell_angle_beta 89.83
_cell_angle_gamma 60.16
_symmetry_space_group_name_H-M 'P 1'
_symmetry_Int_Tables_number 1
loop_
_symmetry_equiv_pos_as_xyz
'x,y,z'
loop_
_atom_site_label
_atom_site_fract_x
_atom_site_fract_y
_atom_site_fract_z
_atom_site_occupancy
Mg1 0.000 0.000 0.000 1
Mg2 0.019 0.995 0.504 1
Ta1 0.004 0.988 0.217 1
Ta2 0.029 0.988 0.721 1
Ta3 0.347 0.322 0.379 1
Ta4 0.349 0.314 0.674 1
Ta5 0.356 0.318 0.170 1
Ta6 0.358 0.323 0.882 1
Ta7 0.677 0.662 0.552 1
Ta8 0.679 0.658 0.048 1
Ta9 0.682 0.648 0.833 1
Ta10 0.682 0.659 0.332 1
Si1 0.066 0.325 0.779 1
Si2 0.069 0.605 0.274 1
Si3 0.289 0.001 0.605 1
Si4 0.342 0.042 0.275 1
Si5 0.349 0.603 0.775 1
Si6 0.631 0.324 0.275 1
Si7 0.637 0.038 0.778 1
Si8 0.688 0.365 0.943 1
Si9 0.732 0.989 0.105 1
S1 0.016 0.277 0.108 1
S2 0.018 0.704 0.607 1
S3 0.299 0.707 0.108 1
S4 0.395 0.942 0.943 1
S5 0.397 0.656 0.443 1
S6 0.683 0.942 0.443 1
S7 0.727 0.276 0.607 1
S8 0.965 0.373 0.443 1
S9 0.968 0.656 0.942 1
O1 0.038 0.783 0.554 1
O2 0.040 0.159 0.765 1
O3 0.049 0.796 0.266 1
O4 0.053 0.171 0.056 1
O5 0.136 0.490 0.936 1
O6 0.140 0.360 0.435 1
O7 0.151 0.486 0.218 1
O8 0.154 0.355 0.719 1
O9 0.166 0.308 0.119 1
O10 0.167 0.528 0.616 1
O11 0.176 0.794 0.765 1
O12 0.179 0.018 0.261 1
O13 0.185 0.025 0.548 1
O14 0.187 0.289 0.836 1
O15 0.188 0.515 0.334 1
O16 0.198 0.783 0.056 1
O17 0.204 0.963 0.664 1
O18 0.222 0.815 0.161 1
O19 0.226 0.806 0.450 1
O20 0.229 0.954 0.953 1
O21 0.315 0.162 0.334 1
O22 0.315 0.516 0.833 1
O23 0.323 0.529 0.118 1
O24 0.331 0.158 0.619 1
O25 0.380 0.489 0.716 1
O26 0.382 0.116 0.937 1
O27 0.382 0.131 0.220 1
O28 0.389 0.492 0.437 1
O29 0.480 0.685 0.102 1
O30 0.482 0.836 0.891 1
O31 0.486 0.680 0.391 1
O32 0.494 0.822 0.596 1
O33 0.503 0.361 0.935 1
O34 0.508 0.362 0.219 1
O35 0.512 0.128 0.720 1
O36 0.513 0.628 0.495 1
O37 0.513 0.635 0.786 1
O38 0.513 0.860 0.996 1
O39 0.514 0.854 0.291 1
O40 0.520 0.114 0.437 1
O41 0.535 0.157 0.121 1
O42 0.542 0.292 0.335 1
O43 0.546 0.164 0.834 1
O44 0.548 0.311 0.616 1
O45 0.652 0.494 0.291 1
O46 0.652 0.499 0.000 1
O47 0.655 0.852 0.791 1
O48 0.656 0.854 0.496 1
O49 0.695 0.482 0.887 1
O50 0.703 0.819 0.098 1
O51 0.706 0.832 0.391 1
O52 0.710 0.458 0.596 1
O53 0.800 0.173 0.554 1
O54 0.817 0.023 0.051 1
O55 0.822 0.020 0.758 1
O56 0.823 0.159 0.265 1
O57 0.835 0.205 0.659 1
O58 0.835 0.961 0.452 1
O59 0.850 0.962 0.166 1
O60 0.856 0.465 0.390 1
O61 0.856 0.685 0.890 1
O62 0.857 0.456 0.100 1
O63 0.857 0.678 0.597 1
O64 0.859 0.185 0.946 1
O65 0.875 0.632 0.291 1
O66 0.876 0.496 0.786 1
O67 0.878 0.631 0.996 1
O68 0.882 0.486 0.495 1
O69 0.976 0.813 0.659 1
O70 0.979 0.205 0.448 1
O71 0.985 0.200 0.161 1
O72 0.995 0.802 0.950 1
```

Properties
The calculation puts the mass density at 3.81 g/cm³. The calculation puts the formation energy at -281.66 eV/f.u. The value obtained for the total energy is -796.3 eV/f.u.